The following is a PBE calculation of Na2TbO3 after structural relaxation, from the Materials Project. Values from VASP.

Structure (Quantum ESPRESSO input):
```
&SYSTEM
  ibrav = 0, nat = 24, ntyp = 3
/
ATOMIC_SPECIES
Na 22.99 Na.upf
Tb 158.93 Tb.upf
O 16.00 O.upf
CELL_PARAMETERS angstrom
5.190 2.989 0.000
-5.190 2.989 0.000
0.000 2.028 11.164
ATOMIC_POSITIONS crystal
Na 0.086 0.914 0.250
Na 0.159 0.318 0.000
Na 0.318 0.159 0.500
Na 0.841 0.682 0.000
Na 0.500 0.000 0.000
Na 0.000 0.500 0.500
Na 0.914 0.086 0.750
Na 0.682 0.841 0.500
Tb 0.752 0.248 0.250
Tb 0.248 0.752 0.750
Tb 0.418 0.582 0.250
Tb 0.582 0.418 0.750
O 0.046 0.240 0.364
O 0.760 0.954 0.136
O 0.954 0.760 0.636
O 0.240 0.046 0.864
O 0.410 0.877 0.361
O 0.123 0.590 0.139
O 0.590 0.123 0.639
O 0.877 0.410 0.861
O 0.684 0.515 0.361
O 0.515 0.684 0.861
O 0.316 0.485 0.639
O 0.485 0.316 0.139
```

- ΔE_f (kJ/mol of formula units) = -1417
- total energy (eV/atom) = -5.792
- SG = C2/c, No. 15